# NdAlNi

NdAlNi after structural relaxation (GGA-PBE, Materials Project).

Computed properties:
Crystal system: hexagonal
Formation energy: -1.526 eV/f.u.
Calculated total energy: -5.2734 eV per atom

Structure (CIF):
```
data_NdAlNi
_cell_length_a 7.1687
_cell_length_b 7.1687
_cell_length_c 3.9433
_cell_angle_alpha 90.00
_cell_angle_beta 90.00
_cell_angle_gamma 120.00
_space_group_name_H-M_alt 'P -6 2 m'
_space_group_IT_number 189
_space_group_name_Hall 'P -6 -2'
loop_
_atom_site_label
_atom_site_fract_x
_atom_site_fract_y
_atom_site_fract_z
_atom_site_occupancy
Nd1 0.0000 0.5781 0.0000 1
Al1 0.0000 0.2249 0.5000 1
Ni1 0.0000 0.0000 0.0000 1
Ni2 0.3333 0.6667 0.5000 1
```